Version 1
Ho2TeO6: relaxed, r²SCAN.

abc: 5.2289 9.0202 9.8776
angles: 90.00 90.00 90.00
Last column: nearest neighbours and their distance in Å.
Space group P2_12_12_1 (No. 19)
Asymmetric unit:
Ho 0.0195 0.1040 0.4624 x4  6 O 2.21-2.41
Ho 0.0384 0.2171 0.8654 x4  7 O 2.24-2.47
Te 0.0388 0.4950 0.3515 x4  6 O 1.89-1.95
O 0.0862 0.8450 0.0287 x4  1 Te 1.91
O 0.1685 0.9488 0.2998 x4  1 Te 1.89
O 0.1805 0.6406 0.8207 x4  1 Te 1.93
O 0.1882 0.6412 0.2378 x4  1 Te 1.90
O 0.2324 0.1147 0.0701 x4  1 Te 1.94
O 0.2437 0.5851 0.4948 x4  1 Te 1.95


Version 2
Ho2TeO6: relaxed, r²SCAN.

abc: 9.0067 9.0067 5.1545
angles: 90.00 90.00 120.00
Last column: nearest neighbours and their distance in Å.
Space group P321 (No. 150)
Asymmetric unit:
Ho 0.0000 0.2805 0.0000 x3  6 O 2.18-2.32
Ho 0.0000 0.6174 0.5000 x3  6 O 2.21-2.35
Te 0.0000 0.0000 0.5000 x1  6 O 1.91
Te 0.3333 0.6667 0.9968 x2  6 O 1.92-1.93
O 0.0768 0.8769 0.2884 x6  1 Te 1.91
O 0.1327 0.5442 0.2099 x6  1 Te 1.92
O 0.2267 0.7625 0.7821 x6  1 Te 1.93


Verdict on stability: version 2 comes out at the bottom.


Version 1
Ho4Zr3O12: relaxed, r²SCAN.

abc: 6.2998 6.3427 6.5059
angles: 99.84 98.63 99.57
Last column: nearest neighbours and their distance in Å.
Space group P-1 (No. 2)
Asymmetric unit:
Ho 0.1122 0.3006 0.1346 x2  7 O 2.20-2.44
Ho 0.1957 0.8649 0.3900 x2  6 O 2.20-2.37
Zr 0.3491 0.3965 0.6719 x2  6 O 2.06-2.21
Zr 0.5000 0.0000 0.0000 x1  6 O 2.07-2.16
O 0.0853 0.4176 0.8210 x2  1 Zr 2.06, 1 Ho 2.28
O 0.0873 0.1877 0.4340 x2  1 Zr 2.16, 3 Ho 2.20-2.27
O 0.1851 0.9325 0.0596 x2  1 Zr 2.07, 2 Ho 2.24-2.26
O 0.3279 0.5703 0.4259 x2  2 Zr 2.09-2.21, 1 Ho 2.20
O 0.4208 0.0844 0.6930 x2  2 Zr 2.12-2.16, 1 Ho 2.32
O 0.4731 0.3221 0.1131 x2  2 Zr 2.09-2.10, 1 Ho 2.28


Version 2
Ho4Zr3O12: relaxed, r²SCAN.

abc: 6.3399 6.4070 12.7137
angles: 99.29 99.26 99.38
Last column: nearest neighbours and their distance in Å.
Space group P-1 (No. 2)
Asymmetric unit:
Ho 0.1120 0.1348 0.4019 x2  6 O 2.18-2.36
Ho 0.1899 0.3903 0.6817 x2  6 O 2.22-2.38
Ho 0.2023 0.3895 0.1811 x2  6 O 2.17-2.37
Ho 0.3583 0.6930 0.9475 x2  6 O 2.20-2.38
Zr 0.1083 0.1432 0.9054 x2  6 O 2.07-2.22
Zr 0.3537 0.6755 0.4468 x2  6 O 2.06-2.21
Zr 0.4919 0.9938 0.7474 x2  6 O 2.08-2.14
O 0.0663 0.8314 0.9621 x2  2 Zr 2.16-2.22, 2 Ho 2.20-2.37
O 0.0710 0.4159 0.8420 x2  1 Zr 2.07, 2 Ho 2.28-2.30
O 0.0886 0.8192 0.4622 x2  1 Zr 2.06, 1 Ho 2.27
O 0.0916 0.4330 0.3421 x2  1 Zr 2.17, 3 Ho 2.18-2.27
O 0.1793 0.0574 0.7159 x2  1 Zr 2.08, 2 Ho 2.22-2.24
O 0.1837 0.0379 0.2047 x2  2 Zr 2.10-2.16, 1 Ho 2.31
O 0.3147 0.4064 0.0295 x2  3 Ho 2.17-2.26, 1 Zr 2.19
O 0.3270 0.4240 0.5341 x2  2 Zr 2.10-2.21, 1 Ho 2.22
O 0.4249 0.0775 0.9063 x2  2 Zr 2.12-2.13, 1 Ho 2.27
O 0.4248 0.6945 0.2919 x2  2 Zr 2.11-2.14, 1 Ho 2.32
O 0.4261 0.6822 0.7788 x2  1 Zr 2.09, 2 Ho 2.24-2.25
O 0.4673 0.1071 0.4110 x2  2 Zr 2.08-2.12, 1 Ho 2.27


Verdict on stability: version 2 comes out at the bottom.


Version 1
PmHo3: relaxed, r²SCAN.

abc: 5.0333 5.0333 5.0333
angles: 90.00 90.00 90.00
Last column: nearest neighbours and their distance in Å.
Space group Pm-3m (No. 221)
Asymmetric unit:
Pm 0.0000 0.0000 0.0000 x1  12 Ho 3.56
Ho 0.0000 0.5000 0.5000 x3  8 Ho 3.56, 4 Pm 3.56


Version 2
PmHo3: relaxed, r²SCAN.

abc: 7.3010 7.3010 5.6161
angles: 90.00 90.00 120.00
Last column: nearest neighbours and their distance in Å.
Space group P6_3/mmc (No. 194)
Asymmetric unit:
Pm 0.3333 0.6667 0.2500 x2  12 Ho 3.52-3.65
Ho 0.1653 0.3305 0.7500 x6  8 Ho 3.50-3.68, 4 Pm 3.52-3.65


Verdict on stability: version 1 comes out at the bottom.


Version 1
SmHo3: relaxed, r²SCAN.

abc: 5.0333 5.0333 10.0208
angles: 90.00 90.00 90.00
Last column: nearest neighbours and their distance in Å.
Space group I4/mmm (No. 139)
Asymmetric unit:
Sm 0.0000 0.0000 0.0000 x2  12 Ho 3.55-3.56
Ho 0.0000 0.0000 0.5000 x2  8 Ho 3.55, 4 Sm 3.56
Ho 0.0000 0.5000 0.2500 x4  8 Ho 3.55-3.56, 4 Sm 3.55


Version 2
SmHo3: relaxed, r²SCAN.

abc: 7.2234 7.2234 5.7758
angles: 90.00 90.00 120.00
Last column: nearest neighbours and their distance in Å.
Space group P6_3/mmc (No. 194)
Asymmetric unit:
Sm 0.3333 0.6667 0.2500 x2  12 Ho 3.57-3.61
Ho 0.1652 0.3304 0.7500 x6  8 Ho 3.55-3.64, 4 Sm 3.57-3.61


Verdict on stability: version 1 comes out at the bottom.


Version 1
MnI2O6: relaxed, r²SCAN.

abc: 5.3841 5.7509 17.0997
angles: 90.00 90.00 90.00
Last column: nearest neighbours and their distance in Å.
Space group P2_12_12_1 (No. 19)
Asymmetric unit:
Mn 0.2056 0.1698 0.0922 x4  6 O 2.16-2.35
I 0.0344 0.8591 0.9232 x4  3 O 1.84-1.85
I 0.2495 0.7243 0.2918 x4  3 O 1.82-1.85
O 0.0201 0.0332 0.2040 x4  1 I 1.82
O 0.0324 0.4692 0.8415 x4  1 I 1.83
O 0.0564 0.6085 0.5161 x4  1 I 1.84
O 0.1088 0.4968 0.6635 x4  1 I 1.85
O 0.1266 0.8781 0.3783 x4  1 I 1.85
O 0.2346 0.1779 0.5491 x4  1 I 1.85


Version 2
MnI2O6: relaxed, r²SCAN.

abc: 5.6094 5.0306 9.6677
angles: 90.00 90.26 90.00
Last column: nearest neighbours and their distance in Å.
Space group P2_1 (No. 4)
Asymmetric unit:
Mn 0.2337 0.0000 0.2444 x2  6 O 2.12-2.17
I 0.2618 0.5653 0.5672 x2  3 O 1.82-1.83
I 0.2670 0.0808 0.8996 x2  3 O 1.82
O 0.0104 0.2347 0.3799 x2  1 I 1.82
O 0.0945 0.2821 0.7785 x2  1 I 1.82
O 0.1524 0.2150 0.0609 x2  1 I 1.82
O 0.3366 0.7751 0.4205 x2  1 I 1.82
O 0.4544 0.7664 0.1065 x2  1 I 1.82
O 0.4615 0.7253 0.6914 x2  1 I 1.83


Version 3
MnI2O6: relaxed, r²SCAN.

abc: 6.6968 10.9259 8.6297
angles: 90.00 118.71 90.00
Last column: nearest neighbours and their distance in Å.
Space group P2_1/c (No. 14)
Asymmetric unit:
Mn 0.1273 0.0935 0.4193 x4  5 O 2.04-2.14
I 0.2392 0.0808 0.9863 x4  3 O 1.82-1.83
I 0.3504 0.7127 0.0747 x4  3 O 1.80-1.85
O 0.0336 0.5346 0.3450 x4  1 I 1.83
O 0.0582 0.2163 0.9117 x4  1 I 1.82
O 0.1497 0.5830 0.0230 x4  1 I 1.85
O 0.3894 0.1018 0.8596 x4  1 I 1.82
O 0.4134 0.1180 0.3961 x4  1 I 1.80
O 0.4350 0.7268 0.3066 x4  1 I 1.81


Verdict on stability: version 3 comes out at the bottom.


Version 1
TeI: relaxed, r²SCAN.

abc: 8.3512 8.3789 10.1307
angles: 76.68 89.99 75.76
Last column: nearest neighbours and their distance in Å.
Space group P-1 (No. 2)
Asymmetric unit:
Te 0.0091 0.4968 0.1954 x2  2 Te 2.89-2.90, 2 I 3.12-3.15
Te 0.1876 0.7562 0.1840 x2  1 I 2.77, 2 Te 2.83-2.90
Te 0.3147 0.2404 0.2854 x2  1 I 2.76, 2 Te 2.83-2.89
Te 0.4827 0.4986 0.1994 x2  2 Te 2.83
I 0.1662 0.7870 0.8198 x2  2 Te 3.12-3.33
I 0.1799 0.7931 0.4485 x2  1 Te 2.77
I 0.3108 0.2137 0.9243 x2  2 Te 3.15-3.32
I 0.3198 0.2120 0.5628 x2  1 Te 2.76


Version 2
TeI: relaxed, r²SCAN.

abc: 4.2413 8.2668 9.9678
angles: 87.03 77.75 75.20
Last column: nearest neighbours and their distance in Å.
Space group P-1 (No. 2)
Asymmetric unit:
Te 0.0858 0.1772 0.1539 x2  1 I 2.78, 2 Te 2.95
Te 0.2994 0.0773 0.8213 x2  2 Te 2.95, 2 I 3.12
I 0.0982 0.7307 0.5706 x2  1 Te 2.78
I 0.3368 0.6372 0.1928 x2  2 Te 3.12


Verdict on stability: version 1 comes out at the bottom.